Entry 1:
{
  "formula": "LiMg2",
  "functional": "PBE",
  "state": "relaxed",
  "spacegroup": "Cmcm",
  "volume_a3_per_cell": 130.4,
  "crystal_system": "orthorhombic",
  "e_tot_ev_per_atom": -1.750,
  "rho_g_cm3": 1.42,
  "cell": [[-8.3687, 0.1108, -0.3129], [7.8354, -2.3326, -1.8195], [-0.1836, -3.4848, 3.6768]],
  "species": ["Li", "Mg", "Mg", "Mg", "Li", "Mg"],
  "fractional_positions": [[0.5552, 0.4448, 0.7500], [0.2207, 0.7793, 0.7500], [0.7793, 0.2207, 0.2500], [0.1088, 0.8912, 0.2500], [0.4448, 0.5552, 0.2500], [0.8912, 0.1088, 0.7500]]
}

***

Entry 2:
{
  "formula": "PuNp",
  "functional": "PBE",
  "state": "relaxed",
  "spacegroup": "Cmmm",
  "volume_a3_per_cell": 41.9,
  "crystal_system": "orthorhombic",
  "e_tot_ev_per_atom": -12.778,
  "rho_g_cm3": 19.08,
  "cell": [[-1.9204, -1.5357, 1.5357], [-1.9204, 1.5357, -1.5357], [0.0000, -3.5480, -3.5480]],
  "species": ["Np", "Pu"],
  "fractional_positions": [[0.0000, 0.0000, 0.0000], [0.5000, 0.5000, 0.5000]]
}

***

Entry 3:
{
  "formula": "BaLaSmCuO5",
  "functional": "PBE",
  "state": "relaxed",
  "spacegroup": "Cmmm",
  "volume_a3_per_cell": 272.3,
  "crystal_system": "orthorhombic",
  "e_tot_ev_per_atom": -7.110,
  "rho_g_cm3": 6.95,
  "cell": [[0.0000, 0.0000, 5.9012], [6.7931, -0.0295, 0.0000], [-0.0295, 6.7931, 0.0000]],
  "species": ["O", "O", "La", "Ba", "O", "O", "Cu", "Ba", "O", "Cu", "O", "Sm", "Sm", "O", "La", "O", "O", "O"],
  "fractional_positions": [[0.7596, 0.3569, 0.8569], [0.7555, 0.1362, 0.3638], [0.5000, 0.3251, 0.1749], [0.0000, 0.5000, 0.5000], [0.2404, 0.3569, 0.8569], [0.5000, 0.5000, 0.5000], [0.0000, 0.0000, 0.5000], [0.0000, 0.0000, 0.0000], [0.2445, 0.1362, 0.3638], [0.0000, 0.5000, 0.0000], [0.2404, 0.6431, 0.1431], [0.5000, 0.1739, 0.6739], [0.5000, 0.8261, 0.3261], [0.7596, 0.6431, 0.1431], [0.5000, 0.6749, 0.8251], [0.2445, 0.8638, 0.6362], [0.7555, 0.8638, 0.6362], [0.5000, 0.0000, 0.0000]]
}

***

Entry 4:
{
  "formula": "Na2MgTi3P4S2O24",
  "functional": "PBE",
  "state": "relaxed",
  "spacegroup": "P1",
  "volume_a3_per_cell": 1438.4,
  "crystal_system": "triclinic",
  "e_tot_ev_per_atom": -7.226,
  "rho_g_cm3": 2.72,
  "cell": [[8.6107, 0.0023, 0.0038], [-4.3034, 7.4593, 0.0052], [0.0093, 0.0208, 22.3911]],
  "species": ["O", "O", "S", "O", "O", "O", "P", "O", "O", "S", "O", "O", "O", "O", "P", "O", "O", "P", "O", "O", "Ti", "O", "P", "O", "Ti", "P", "O", "Mg", "O", "O", "O", "P", "O", "O", "O", "Mg", "O", "O", "O", "O", "O", "O", "O", "Na", "O", "Na", "O", "O", "O", "O", "Ti", "Ti", "O", "O", "O", "O", "O", "Na", "P", "S", "O", "P", "O", "O", "Na", "O", "O", "O", "P", "Ti", "O", "O", "O", "S", "S", "O", "O", "O", "O", "Na", "Ti", "Na", "Ti", "O", "O", "O", "O", "O", "Ti", "P", "O", "O", "O", "Ti", "O", "O", "O", "O", "Mg", "P", "O", "P", "O", "O", "S", "O", "O", "O"],
  "fractional_positions": [[0.9685, 0.1763, 0.3036], [0.8662, 0.5001, 0.1386], [0.6666, 0.0455, 0.0830], [0.3695, 0.4893, 0.3599], [0.6351, 0.1271, 0.1373], [0.5298, 0.6871, 0.2561], [0.2867, 0.2892, 0.7487], [0.5220, 0.8361, 0.7608], [0.1609, 0.6898, 0.7587], [0.7106, 0.7141, 0.2495], [0.6940, 0.5289, 0.2430], [0.4963, 0.3519, 0.4260], [0.4713, 0.3074, 0.0277], [0.6918, 0.5288, 0.5279], [0.7124, 0.0017, 0.7486], [0.5000, 0.3642, 0.1384], [0.1629, 0.6995, 0.4727], [0.0449, 0.6624, 0.4160], [0.5031, 0.8665, 0.0769], [0.8318, 0.8061, 0.5888], [0.0016, 0.0008, 0.3599], [0.2021, 0.1714, 0.8063], [0.6229, 0.6703, 0.9170], [0.8363, 0.5267, 0.0277], [0.3410, 0.6687, 0.8132], [0.3325, 0.9541, 0.9165], [0.3645, 0.8676, 0.8614], [0.0036, 0.0003, 0.1465], [0.3125, 0.8423, 0.2563], [0.8551, 0.5020, 0.4270], [0.4723, 0.1626, 0.5280], [0.9557, 0.6240, 0.0824], [0.1339, 0.4977, 0.5768], [0.0337, 0.8186, 0.6968], [0.3663, 0.5066, 0.0755], [0.3325, 0.6665, 0.3166], [0.6497, 0.1464, 0.4271], [0.3118, 0.4784, 0.7606], [0.6361, 0.5000, 0.6387], [0.8250, 0.0265, 0.0898], [0.8111, 0.9764, 0.4082], [0.0261, 0.2079, 0.1959], [0.8573, 0.3570, 0.9255], [0.0023, 0.9991, 0.0012], [0.0229, 0.8336, 0.4082], [0.0001, 0.9977, 0.5033], [0.9719, 0.8051, 0.0892], [0.7915, 0.8185, 0.1958], [0.5040, 0.6341, 0.8615], [0.1311, 0.4968, 0.8611], [0.6504, 0.3240, 0.6850], [0.3259, 0.6602, 0.0184], [0.6405, 0.5001, 0.9245], [0.8730, 0.3647, 0.6374], [0.8339, 0.3051, 0.2428], [0.8229, 0.7909, 0.3035], [0.5340, 0.6974, 0.9727], [0.3361, 0.6671, 0.6655], [0.6678, 0.6242, 0.5829], [0.2890, 0.9983, 0.2494], [0.5111, 0.8801, 0.3602], [0.3738, 0.0420, 0.5819], [0.5386, 0.8381, 0.4723], [0.1661, 0.1890, 0.4086], [0.6672, 0.3327, 0.3353], [0.9733, 0.1752, 0.5888], [0.1936, 0.1693, 0.0892], [0.4934, 0.6339, 0.5754], [0.3758, 0.3329, 0.0826], [0.6634, 0.3401, 0.9787], [0.9700, 0.7917, 0.8046], [0.3035, 0.8359, 0.9727], [0.1200, 0.6312, 0.3602], [0.0002, 0.7109, 0.7499], [0.9545, 0.3338, 0.5830], [0.6916, 0.1704, 0.7438], [0.2999, 0.4623, 0.4728], [0.8292, 0.0288, 0.8062], [0.8444, 0.3071, 0.5293], [0.6660, 0.3312, 0.8325], [0.3406, 0.6730, 0.5179], [0.3318, 0.6654, 0.1679], [0.0024, 0.0106, 0.8523], [0.4974, 0.1310, 0.6386], [0.1820, 0.9727, 0.1963], [0.7880, 0.9626, 0.6945], [0.1411, 0.6366, 0.0754], [0.2085, 0.0316, 0.3036], [0.6689, 0.3434, 0.1851], [0.3351, 0.3825, 0.4158], [0.1626, 0.4642, 0.9723], [0.1652, 0.9732, 0.9089], [0.0261, 0.1918, 0.9096], [0.6605, 0.3370, 0.4794], [0.4721, 0.1646, 0.2426], [0.1754, 0.2107, 0.6943], [0.5008, 0.1405, 0.9256], [0.1570, 0.4691, 0.2561], [0.9985, 0.9999, 0.6464], [0.6200, 0.9579, 0.4152], [0.8397, 0.5293, 0.7444], [0.0441, 0.3793, 0.9158], [0.3630, 0.8575, 0.5756], [0.6942, 0.1561, 0.0292], [0.0012, 0.2894, 0.2493], [0.1935, 0.0265, 0.5892], [0.8102, 0.8336, 0.9088], [0.4785, 0.3116, 0.7440]]
}

***

Entry 5:
{
  "formula": "CaMgSiO4",
  "functional": "PBE",
  "state": "relaxed",
  "spacegroup": "Pnma",
  "volume_a3_per_cell": 351.4,
  "crystal_system": "orthorhombic",
  "e_tot_ev_per_atom": -7.090,
  "relative_energy_mev_per_atom": 0,
  "rho_g_cm3": 2.96,
  "cell": [[-4.4041, 2.0651, 0.2120], [-2.7420, -5.7935, -0.5276], [0.0497, -1.0412, 11.1751]],
  "species": ["O", "Si", "O", "O", "Si", "Mg", "O", "Si", "O", "Mg", "O", "Ca", "Ca", "O", "O", "O", "O", "Ca", "O", "O", "Si", "Mg", "O", "O", "O", "Ca", "O", "Mg"],
  "fractional_positions": [[0.7463, 0.2500, 0.9224], [0.9107, 0.7500, 0.5812], [0.7280, 0.5447, 0.1474], [0.2477, 0.2500, 0.5512], [0.5893, 0.7500, 0.0812], [0.0000, 0.0000, 0.0000], [0.2280, 0.4553, 0.3526], [0.4107, 0.2500, 0.9188], [0.2523, 0.2500, 0.0512], [0.5000, 0.5000, 0.5000], [0.7477, 0.7500, 0.9488], [0.0208, 0.7500, 0.2771], [0.4792, 0.7500, 0.7771], [0.7720, 0.9553, 0.6474], [0.2720, 0.0447, 0.8526], [0.7537, 0.2500, 0.4224], [0.7523, 0.7500, 0.4488], [0.5208, 0.2500, 0.2229], [0.7280, 0.9553, 0.1474], [0.2280, 0.0447, 0.3526], [0.0893, 0.2500, 0.4188], [0.0000, 0.5000, 0.0000], [0.2463, 0.7500, 0.5776], [0.7720, 0.5447, 0.6474], [0.2537, 0.7500, 0.0776], [0.9792, 0.2500, 0.7229], [0.2720, 0.4553, 0.8526], [0.5000, 0.0000, 0.5000]]
}

***

Entry 6:
{
  "formula": "Na3LaHf3Si3S3O24",
  "functional": "PBE",
  "state": "relaxed",
  "spacegroup": "P1",
  "volume_a3_per_cell": 1694.5,
  "crystal_system": "triclinic",
  "e_tot_ev_per_atom": -7.506,
  "rho_g_cm3": 3.84,
  "cell": [[-0.6065, -8.8191, -2.2869], [3.8563, 6.0442, -5.7753], [20.8932, -3.7886, 9.7189]],
  "species": ["O", "Hf", "Hf", "Si", "Si", "S", "S", "Hf", "O", "O", "O", "Hf", "O", "S", "O", "Si", "O", "O", "O", "O", "O", "O", "O", "O", "O", "O", "O", "O", "O", "S", "Hf", "O", "O", "O", "O", "O", "S", "Si", "O", "O", "O", "O", "O", "O", "O", "O", "O", "S", "O", "O", "O", "O", "O", "O", "Na", "Si", "O", "O", "O", "Na", "O", "O", "O", "O", "Na", "S", "O", "S", "Na", "O", "O", "La", "Na", "Na", "La", "O", "O", "Na", "O", "O", "Si", "Na", "O", "O", "O", "Si", "O", "O", "Si", "O", "O", "La", "O", "O", "Na", "Si", "O", "Hf", "S", "Hf", "O", "O", "O", "O", "Hf", "O", "Hf", "O", "O", "O", "O"],
  "fractional_positions": [[0.5235, 0.6890, 0.9667], [0.0083, 0.9933, 0.8556], [0.3239, 0.6544, 0.8126], [0.3653, 0.3363, 0.0849], [0.9814, 0.6512, 0.0799], [0.0430, 0.6500, 0.4199], [0.3597, 0.0280, 0.5806], [0.0096, 0.0131, 0.1441], [0.6288, 0.0830, 0.1319], [0.1193, 0.4810, 0.8644], [0.2119, 0.0023, 0.3000], [0.3381, 0.6604, 0.0172], [0.3632, 0.4903, 0.3582], [0.3426, 0.9605, 0.9156], [0.3037, 0.8324, 0.2504], [0.0052, 0.3050, 0.2528], [0.0223, 0.1899, 0.1998], [0.5441, 0.8269, 0.7562], [0.1438, 0.4607, 0.9669], [0.4767, 0.3256, 0.7542], [0.7964, 0.9736, 0.7011], [0.3159, 0.8558, 0.9666], [0.1610, 0.4961, 0.5739], [0.7879, 0.7737, 0.3011], [0.8034, 0.9893, 0.4233], [0.4961, 0.1292, 0.9215], [0.5268, 0.7044, 0.2515], [0.1820, 0.9720, 0.1965], [0.9935, 0.8206, 0.8067], [0.0373, 0.3741, 0.9165], [0.0170, 0.0179, 0.6490], [0.4556, 0.0934, 0.6336], [0.8302, 0.8056, 0.5853], [0.9767, 0.8250, 0.0900], [0.6868, 0.1304, 0.7527], [0.1795, 0.1837, 0.8098], [0.6736, 0.6386, 0.5820], [0.6126, 0.9587, 0.4194], [0.3380, 0.4953, 0.0700], [0.1755, 0.1659, 0.0876], [0.6493, 0.5270, 0.2450], [0.6941, 0.1468, 0.0301], [0.4519, 0.1434, 0.5314], [0.8416, 0.3288, 0.2494], [0.8453, 0.3110, 0.5258], [0.1682, 0.6873, 0.0617], [0.0190, 0.7939, 0.4182], [0.6678, 0.0306, 0.0780], [0.3554, 0.8756, 0.8639], [0.9970, 0.2162, 0.3138], [0.8743, 0.4899, 0.4223], [0.9814, 0.1566, 0.5874], [0.5055, 0.8554, 0.4747], [0.1906, 0.9832, 0.9109], [0.6329, 0.6202, 0.7596], [0.0146, 0.7251, 0.7508], [0.5063, 0.8640, 0.3608], [0.1820, 0.2015, 0.4205], [0.3295, 0.8572, 0.5710], [0.2709, 0.6289, 0.6674], [0.5250, 0.8591, 0.0661], [0.4554, 0.3659, 0.1464], [0.8667, 0.3539, 0.9224], [0.8409, 0.5426, 0.7518], [0.9912, 0.0139, 0.5023], [0.7126, 0.9864, 0.7538], [0.8964, 0.3603, 0.6393], [0.6924, 0.7049, 0.2483], [0.6744, 0.3156, 0.3299], [0.3033, 0.4831, 0.7576], [0.0230, 0.8335, 0.6934], [0.6944, 0.3494, 0.1738], [0.6595, 0.3445, 0.8336], [0.2894, 0.6449, 0.1621], [0.9944, 0.0014, 0.3568], [0.6390, 0.5481, 0.6371], [0.1854, 0.7107, 0.7583], [0.9917, 0.9801, 0.0041], [0.1878, 0.4892, 0.2533], [0.3281, 0.4893, 0.4695], [0.9710, 0.3303, 0.5811], [0.3482, 0.3519, 0.2378], [0.8418, 0.5365, 0.0291], [0.4750, 0.3114, 0.0335], [0.5143, 0.6484, 0.8556], [0.3520, 0.3847, 0.4180], [0.8123, 0.9991, 0.8053], [0.7848, 0.8043, 0.1973], [0.6278, 0.6717, 0.9140], [0.6862, 0.5393, 0.5348], [0.4581, 0.1402, 0.2425], [0.6798, 0.3359, 0.6863], [0.0236, 0.2082, 0.9112], [0.5278, 0.6671, 0.5726], [0.9709, 0.2886, 0.4189], [0.2858, 0.2932, 0.7548], [0.1921, 0.0200, 0.5846], [0.3397, 0.6594, 0.5190], [0.2902, 0.9864, 0.2477], [0.3413, 0.6628, 0.3158], [0.1787, 0.2029, 0.6957], [0.6429, 0.4998, 0.9228], [0.8242, 0.0182, 0.0852], [0.5254, 0.3785, 0.4269], [0.6646, 0.3590, 0.9838], [0.1276, 0.6353, 0.3673], [0.6595, 0.3166, 0.4802], [0.1401, 0.6606, 0.4716], [0.6388, 0.1521, 0.4222], [0.8182, 0.8385, 0.9106], [0.9362, 0.5446, 0.1385]]
}

***

Entry 7:
{
  "formula": "Ba6YCu3O11",
  "functional": "PBE",
  "state": "relaxed",
  "spacegroup": "Cm",
  "volume_a3_per_cell": 366.5,
  "crystal_system": "monoclinic",
  "e_tot_ev_per_atom": -6.101,
  "rho_g_cm3": 5.80,
  "cell": [[2.5731, 0.1182, 3.2429], [-1.0310, 8.1211, 0.5220], [-6.7997, -3.4603, 8.1658]],
  "species": ["Cu", "Ba", "Ba", "O", "O", "Ba", "Y", "O", "O", "Cu", "O", "Ba", "O", "O", "Cu", "O", "O", "O", "Ba", "O", "Ba"],
  "fractional_positions": [[0.0957, 0.4533, 0.8086], [0.3125, 0.8457, 0.3750], [0.5007, 0.2520, 0.9986], [0.9047, 0.3237, 0.1906], [0.0128, 0.9924, 0.9744], [0.6841, 0.6564, 0.6318], [0.9043, 0.0481, 0.1913], [0.0074, 0.4971, 0.9853], [0.0958, 0.1991, 0.8084], [0.0983, 0.9498, 0.8034], [0.1864, 0.9043, 0.6272], [0.6808, 0.1612, 0.6384], [0.4092, 0.0445, 0.1815], [0.0973, 0.7044, 0.8054], [0.9014, 0.5494, 0.1973], [0.9047, 0.7717, 0.1906], [0.7987, 0.1008, 0.4027], [0.1851, 0.4103, 0.6299], [0.3124, 0.3421, 0.3751], [0.8072, 0.5962, 0.3856], [0.5005, 0.7475, 0.9989]]
}